Sr5Nb5O16: relaxed, r2SCAN.

Output
Energy of formation from the pure elements = -2.995 eV/atom
Total magnetic moment = 0.56 Bohr magnetons per cell
Volume = 759 Å³/cell
Uncorrected energy = -1.054 Ry/atom

extended XYZ file:
```
52
Lattice="4.029 0.000 0.000 0.000 32.948 0.000 0.000 0.000 5.714" Properties=species:S:1:pos:R:3 pbc="T T T"
Sr 0.000 0.976 0.000
Sr 0.000 5.379 3.015
Sr 0.000 8.264 0.117
Sr 0.000 11.227 2.931
Sr 0.000 15.377 0.473
Sr 2.015 17.571 3.329
Sr 2.015 21.721 0.074
Sr 2.015 24.684 2.973
Sr 2.015 27.569 0.158
Sr 2.015 31.972 2.857
Nb 0.000 18.874 0.296
Nb 0.000 21.734 2.990
Nb 0.000 24.678 0.124
Nb 0.000 27.638 2.971
Nb 0.000 30.465 0.065
Nb 2.015 2.483 2.922
Nb 2.015 5.310 0.114
Nb 2.015 8.270 2.981
Nb 2.015 11.214 0.134
Nb 2.015 14.074 3.153
O 0.000 5.451 0.129
O 0.000 8.256 2.977
O 0.000 11.000 0.070
O 0.000 13.815 2.984
O 0.000 17.454 4.761
O 0.000 17.804 1.805
O 0.000 20.357 4.276
O 0.000 20.738 1.287
O 0.000 23.121 4.551
O 0.000 23.490 1.747
O 0.000 25.943 4.240
O 0.000 26.254 1.416
O 0.000 28.721 4.634
O 0.000 28.989 1.569
O 0.000 31.660 4.337
O 0.000 31.817 1.372
O 2.015 1.131 4.228
O 2.015 1.288 1.480
O 2.015 3.959 4.426
O 2.015 4.227 1.777
O 2.015 6.694 4.273
O 2.015 7.005 1.383
O 2.015 9.458 4.603
O 2.015 9.827 1.694
O 2.015 12.210 4.144
O 2.015 12.591 1.419
O 2.015 15.144 4.662
O 2.015 15.494 1.904
O 2.015 19.133 0.127
O 2.015 21.948 2.927
O 2.015 24.692 0.120
O 2.015 27.497 2.985
```